# PBE RbMgSbO3, relaxed
# Uncorrected energy   -4.612 eV/atom
# Total moment   0.00 μB/f.u.
# Theoretical density   4.45 g/cm³
# Formation energy from the elements   -1.36 eV/atom
# Energy above the lowest structure with this stoichiometry   0.694 eV per atom
data_RbMgSbO3
_cell_length_a 4.365
_cell_length_b 4.365
_cell_length_c 5.472
_cell_angle_alpha 90.00
_cell_angle_beta 90.00
_cell_angle_gamma 90.00
_symmetry_space_group_name_H-M 'P 1'
_symmetry_Int_Tables_number 1
_symmetry_space_group_name_Hall 'P 1'
loop_
_atom_site_label
_atom_site_type_symbol
_atom_site_fract_x
_atom_site_fract_y
_atom_site_fract_z
Rb1 Rb 0.000 0.000 0.000
Mg1 Mg 0.000 0.000 0.500
Sb1 Sb 0.500 0.500 0.500
O1 O 0.000 0.500 0.500
O2 O 0.500 0.000 0.500
O3 O 0.500 0.500 0.000

---

# PBE RbMg6SbO8, relaxed
# Uncorrected energy   -5.251 eV/atom
# Total moment   0.00 μB/f.u.
# Theoretical density   4.04 g/cm³
# Formation energy from the elements   -2.20 eV/atom
# Energy above the lowest structure with this stoichiometry   0.085 eV per atom
data_RbMg6SbO8
_cell_length_a 4.679
_cell_length_b 4.679
_cell_length_c 9.039
_cell_angle_alpha 90.00
_cell_angle_beta 90.00
_cell_angle_gamma 90.00
_symmetry_space_group_name_H-M 'P 1'
_symmetry_Int_Tables_number 1
_symmetry_space_group_name_Hall 'P 1'
loop_
_atom_site_label
_atom_site_type_symbol
_atom_site_fract_x
_atom_site_fract_y
_atom_site_fract_z
Rb1 Rb 0.000 0.000 0.000
Mg1 Mg 0.000 0.500 0.235
Mg2 Mg 0.000 0.500 0.765
Mg3 Mg 0.500 0.000 0.235
Mg4 Mg 0.500 0.000 0.765
Mg5 Mg 0.500 0.500 0.000
Mg6 Mg 0.500 0.500 0.500
Sb1 Sb 0.000 0.000 0.500
O1 O 0.000 0.000 0.268
O2 O 0.000 0.000 0.732
O3 O 0.000 0.500 0.000
O4 O 0.000 0.500 0.500
O5 O 0.500 0.000 0.000
O6 O 0.500 0.000 0.500
O7 O 0.500 0.500 0.252
O8 O 0.500 0.500 0.748

---

# PBE RbMg6SbO8, relaxed
# Uncorrected energy   -5.336 eV/atom
# Total moment   0.00 μB/f.u.
# Theoretical density   4.10 g/cm³
# Formation energy from the elements   -2.29 eV/atom
# Energy above the lowest structure with this stoichiometry   0.000 eV per atom
data_RbMg6SbO8
_cell_length_a 4.649
_cell_length_b 4.649
_cell_length_c 9.022
_cell_angle_alpha 90.00
_cell_angle_beta 90.00
_cell_angle_gamma 90.00
_symmetry_space_group_name_H-M 'P 1'
_symmetry_Int_Tables_number 1
_symmetry_space_group_name_Hall 'P 1'
loop_
_atom_site_label
_atom_site_type_symbol
_atom_site_fract_x
_atom_site_fract_y
_atom_site_fract_z
Rb1 Rb 0.000 0.000 0.000
Mg1 Mg 0.000 0.000 0.500
Mg2 Mg 0.000 0.500 0.271
Mg3 Mg 0.000 0.500 0.729
Mg4 Mg 0.500 0.000 0.271
Mg5 Mg 0.500 0.000 0.729
Mg6 Mg 0.500 0.500 0.500
Sb1 Sb 0.500 0.500 0.000
O1 O 0.000 0.000 0.284
O2 O 0.000 0.000 0.716
O3 O 0.000 0.500 0.000
O4 O 0.000 0.500 0.500
O5 O 0.500 0.000 0.000
O6 O 0.500 0.000 0.500
O7 O 0.500 0.500 0.265
O8 O 0.500 0.500 0.735